{"formula": "CaW2O4", "functional": "PBE with a Hubbard U", "state": "relaxed", "delta_e_f_ev_per_atom": -1.841, "dft_energy_ev_per_atom": -7.00, "cell": [[-3.1842, 3.3832, 4.5513], [3.1842, -3.3832, 4.5513], [3.1842, 3.3832, -4.5513]], "species": ["O", "O", "O", "O", "O", "O", "O", "O", "W", "W", "W", "W", "Ca", "Ca"], "fractional_positions": [[0.2082, 0.2377, 0.9705], [0.7673, 0.2377, 0.5295], [0.7918, 0.7623, 0.0295], [0.7609, 0.2575, 0.9966], [0.2391, 0.2357, 0.4966], [0.2327, 0.7623, 0.4705], [0.2391, 0.7425, 0.0034], [0.7609, 0.7643, 0.5034], [0.0000, 0.5000, 0.0000], [0.0000, 0.0000, 0.5000], [0.6052, 0.8552, 0.7500], [0.3948, 0.1448, 0.2500], [0.0000, 0.5000, 0.5000], [0.5000, 0.5000, 0.0000]]}

{"formula": "Ba2CoMoO6", "functional": "PBE with a Hubbard U", "state": "relaxed", "delta_e_f_ev_per_atom": -2.457, "dft_energy_ev_per_atom": -6.71, "cell": [[3.3091, -4.6836, -0.0001], [5.0951, 0.0894, 8.6011], [-5.0965, -0.0906, 2.8677]], "species": ["O", "O", "O", "O", "O", "O", "O", "O", "O", "O", "O", "O", "Ba", "Ba", "Ba", "Ba", "Mo", "Mo", "Co", "Co"], "fractional_positions": [[0.7416, 0.6290, 0.6290], [0.2584, 0.3710, 0.3710], [0.2677, 0.3662, 0.9016], [0.2581, 0.6292, 0.6292], [0.7419, 0.8708, 0.8708], [0.7416, 0.1290, 0.1290], [0.7323, 0.1338, 0.5984], [0.2581, 0.1292, 0.1292], [0.2677, 0.8662, 0.4016], [0.7323, 0.6338, 0.0984], [0.2584, 0.8710, 0.8710], [0.7419, 0.3708, 0.3708], [0.7500, 0.8750, 0.3750], [0.2500, 0.6250, 0.1250], [0.7500, 0.3750, 0.8750], [0.2500, 0.1250, 0.6250], [0.5000, 0.7500, 0.7500], [0.5000, 0.2500, 0.2500], [0.0000, 0.5000, 0.5000], [0.0000, 0.0000, 0.0000]]}

{"formula": "Li4Fe2Co3Te3O16", "functional": "PBE with a Hubbard U", "state": "relaxed", "delta_e_f_ev_per_atom": -1.642, "dft_energy_ev_per_atom": -5.72, "cell": [[6.1839, 0.0000, 0.0000], [-3.0882, -5.3740, 0.0000], [-0.2106, 0.0134, -9.7210]], "species": ["O", "O", "O", "O", "O", "O", "O", "O", "O", "O", "O", "O", "O", "O", "O", "O", "Li", "Li", "Li", "Li", "Te", "Te", "Te", "Co", "Co", "Co", "Fe", "Fe"], "fractional_positions": [[0.4620, 0.9633, 0.3344], [0.5019, 0.0349, 0.8376], [0.0267, 0.0120, 0.8049], [0.0060, 0.9773, 0.3215], [0.8178, 0.1470, 0.0873], [0.4790, 0.5257, 0.3423], [0.3093, 0.1301, 0.1023], [0.6742, 0.8399, 0.5985], [0.0293, 0.5387, 0.3433], [0.6491, 0.3290, 0.6060], [0.8578, 0.6795, 0.1036], [0.9669, 0.4802, 0.8397], [0.3175, 0.6829, 0.1010], [0.1906, 0.3289, 0.5956], [0.1947, 0.8658, 0.5987], [0.4996, 0.4570, 0.8447], [0.6494, 0.3351, 0.4022], [0.9686, 0.9850, 0.9874], [0.3246, 0.6644, 0.8791], [0.9796, 0.9821, 0.5078], [0.3468, 0.1741, 0.7143], [0.1745, 0.3408, 0.2188], [0.1645, 0.8296, 0.2165], [0.8388, 0.1752, 0.7118], [0.6622, 0.8408, 0.2124], [0.8390, 0.6632, 0.7157], [0.7040, 0.3325, 0.9708], [0.3657, 0.6857, 0.5095]]}

{"formula": "Li9Mn2Co5O16", "functional": "PBE with a Hubbard U", "state": "relaxed", "delta_e_f_ev_per_atom": -1.828, "dft_energy_ev_per_atom": -5.82, "cell": [[-3.2138, -1.4941, -3.5531], [-3.6512, -4.8936, 7.6267], [-3.4841, 4.5374, 1.2434]], "species": ["O", "O", "O", "O", "O", "O", "O", "O", "O", "O", "O", "O", "O", "O", "O", "O", "Co", "Co", "Co", "Co", "Co", "Li", "Li", "Li", "Li", "Li", "Li", "Li", "Li", "Li", "Mn", "Mn"], "fractional_positions": [[0.1091, 0.8807, 0.7623], [0.3650, 0.1157, 0.4901], [0.3960, 0.6172, 0.7358], [0.8909, 0.1193, 0.7623], [0.3563, 0.1132, 0.0053], [0.6436, 0.3890, 0.2604], [0.1366, 0.3938, 0.0248], [0.6350, 0.8843, 0.4901], [0.1237, 0.8854, 0.2380], [0.8763, 0.1146, 0.2380], [0.6040, 0.3828, 0.7358], [0.8634, 0.6062, 0.0248], [0.1395, 0.3917, 0.4823], [0.3564, 0.6110, 0.2604], [0.6437, 0.8868, 0.0053], [0.8605, 0.6083, 0.4823], [0.5000, 0.0000, 0.7463], [0.5000, 0.5000, 0.9898], [0.0000, 0.5000, 0.2549], [0.5000, 0.0000, 0.2521], [0.0000, 0.0000, 0.5065], [0.2474, 0.2521, 0.7493], [0.2384, 0.7418, 0.9962], [0.2493, 0.2501, 0.2499], [0.7507, 0.7499, 0.2499], [0.7490, 0.2534, 0.5044], [0.7526, 0.7479, 0.7493], [0.7616, 0.2582, 0.9962], [0.0000, 0.5000, 0.7503], [0.2510, 0.7466, 0.5044], [0.0000, 0.0000, 0.0017], [0.5000, 0.5000, 0.5006]]}

{"formula": "Li3V3P8O29", "functional": "PBE with a Hubbard U", "state": "relaxed", "delta_e_f_ev_per_atom": -2.526, "dft_energy_ev_per_atom": -7.06, "cell": [[-5.6563, -7.9054, -0.4003], [3.6140, -8.3077, -3.5455], [4.2504, -3.8828, 13.0246]], "species": ["O", "O", "O", "O", "O", "O", "O", "O", "O", "O", "O", "O", "O", "O", "O", "O", "O", "O", "O", "O", "O", "O", "O", "O", "O", "O", "O", "O", "O", "O", "O", "O", "O", "O", "O", "O", "O", "O", "O", "O", "O", "O", "O", "O", "O", "O", "O", "O", "O", "O", "O", "O", "O", "O", "O", "O", "O", "O", "P", "P", "P", "P", "P", "P", "P", "P", "P", "P", "P", "P", "P", "P", "P", "P", "Li", "Li", "Li", "Li", "Li", "Li", "V", "V", "V", "V", "V", "V"], "fractional_positions": [[0.6503, 0.2601, 0.3284], [0.8109, 0.6690, 0.3243], [0.7399, 0.3497, 0.1716], [0.4734, 0.3404, 0.1802], [0.0084, 0.1927, 0.4238], [0.3310, 0.1891, 0.1757], [0.5313, 0.0827, 0.3225], [0.6222, 0.9199, 0.1700], [0.0105, 0.1956, 0.2433], [0.1927, 0.0084, 0.9238], [0.6169, 0.4598, 0.6685], [0.0893, 0.6508, 0.3356], [0.5266, 0.6596, 0.8198], [0.6596, 0.5266, 0.3198], [0.4687, 0.9173, 0.6775], [0.2050, 0.7922, 0.0750], [0.7362, 0.9187, 0.6667], [0.2009, 0.7991, 0.2500], [0.6508, 0.0893, 0.8356], [0.5402, 0.3831, 0.8315], [0.3492, 0.9107, 0.1644], [0.1891, 0.3310, 0.6757], [0.6548, 0.6724, 0.4711], [0.1799, 0.4883, 0.1760], [0.2638, 0.0813, 0.3333], [0.9916, 0.8073, 0.5762], [0.2601, 0.6503, 0.8284], [0.9187, 0.7362, 0.1667], [0.4598, 0.6169, 0.1685], [0.0827, 0.5313, 0.8225], [0.2078, 0.7950, 0.4250], [0.9895, 0.8044, 0.7567], [0.9794, 0.2386, 0.0666], [0.7614, 0.0206, 0.4334], [0.0813, 0.2638, 0.8333], [0.3831, 0.5402, 0.3315], [0.0801, 0.3778, 0.3300], [0.6690, 0.8109, 0.8243], [0.3404, 0.4734, 0.6802], [0.8073, 0.9916, 0.0762], [0.7950, 0.2078, 0.9250], [0.0206, 0.7614, 0.9334], [0.9107, 0.3492, 0.6644], [0.3497, 0.7399, 0.6716], [0.1956, 0.0105, 0.7433], [0.7922, 0.2050, 0.5750], [0.8201, 0.5117, 0.8240], [0.6724, 0.6548, 0.9711], [0.2386, 0.9794, 0.5666], [0.9173, 0.4687, 0.1775], [0.7991, 0.2009, 0.7500], [0.4883, 0.1799, 0.6760], [0.3276, 0.3452, 0.0289], [0.8044, 0.9895, 0.2567], [0.3778, 0.0801, 0.8300], [0.3452, 0.3276, 0.5289], [0.5117, 0.8201, 0.3240], [0.9199, 0.6222, 0.6700], [0.3143, 0.9130, 0.6590], [0.6719, 0.6576, 0.8671], [0.3424, 0.3281, 0.6329], [0.9119, 0.7876, 0.6600], [0.2124, 0.0881, 0.8400], [0.0870, 0.6857, 0.8410], [0.3061, 0.7764, 0.1571], [0.2236, 0.6939, 0.3429], [0.9130, 0.3143, 0.1590], [0.7876, 0.9119, 0.1600], [0.3281, 0.3424, 0.1329], [0.6857, 0.0870, 0.3410], [0.6576, 0.6719, 0.3671], [0.0881, 0.2124, 0.3400], [0.6939, 0.2236, 0.8429], [0.7764, 0.3061, 0.6571], [0.9055, 0.3316, 0.9421], [0.0000, 0.0000, 0.5000], [0.0945, 0.6684, 0.0579], [0.0000, 0.0000, 0.0000], [0.6684, 0.0945, 0.5579], [0.3316, 0.9055, 0.4421], [0.4370, 0.5630, 0.7500], [0.5630, 0.4370, 0.2500], [0.4366, 0.0025, 0.2400], [0.0025, 0.4366, 0.7400], [0.5634, 0.9975, 0.7600], [0.9975, 0.5634, 0.2600]]}

{"formula": "AlMo3Se2ClO8", "functional": "PBE with a Hubbard U", "state": "relaxed", "delta_e_f_ev_per_atom": -1.368, "dft_energy_ev_per_atom": -6.01, "cell": [[6.5643, 0.0000, 0.0000], [-0.5110, 7.2012, 0.0000], [-0.5095, -2.6692, 9.5315]], "species": ["O", "O", "O", "O", "O", "O", "O", "O", "O", "O", "O", "O", "O", "O", "O", "O", "Mo", "Mo", "Mo", "Mo", "Mo", "Mo", "Se", "Se", "Se", "Se", "Cl", "Cl", "Al", "Al"], "fractional_positions": [[0.0236, 0.2944, 0.1276], [0.4778, 0.3094, 0.1609], [0.4931, 0.7312, 0.6037], [0.2912, 0.6185, 0.0517], [0.0392, 0.2218, 0.3791], [0.7020, 0.0721, 0.5413], [0.7567, 0.4581, 0.6221], [0.2244, 0.9975, 0.1667], [0.9625, 0.7865, 0.6233], [0.7713, 0.9987, 0.8381], [0.5063, 0.2661, 0.3957], [0.2507, 0.5483, 0.3713], [0.3005, 0.9377, 0.4693], [0.7052, 0.3794, 0.9403], [0.5202, 0.6801, 0.8346], [0.9740, 0.7005, 0.8693], [0.7462, 0.2696, 0.2484], [0.2545, 0.7222, 0.7504], [0.0014, 0.0058, 0.5036], [0.0026, 0.5062, 0.4972], [0.9976, 0.4997, 0.0002], [0.0042, 0.9970, 0.9981], [0.5704, 0.1609, 0.8657], [0.4445, 0.7428, 0.4267], [0.4237, 0.8324, 0.1462], [0.5581, 0.2661, 0.5716], [0.1213, 0.2649, 0.7486], [0.8785, 0.7341, 0.2523], [0.2579, 0.2722, 0.2543], [0.7403, 0.7256, 0.7420]]}

{"formula": "MgMn8Si10O30", "functional": "PBE with a Hubbard U", "state": "relaxed", "delta_e_f_ev_per_atom": -2.803, "dft_energy_ev_per_atom": -7.77, "cell": [[-2.1062, -5.7557, 2.9471], [-4.1557, -0.9122, -6.1999], [11.0248, -4.3072, -2.5866]], "species": ["Si", "Si", "Si", "Si", "Si", "Si", "Si", "Si", "Si", "Si", "O", "O", "O", "O", "O", "O", "O", "O", "O", "O", "O", "O", "O", "O", "O", "O", "O", "O", "O", "O", "O", "O", "O", "O", "O", "O", "O", "O", "O", "O", "Mn", "Mn", "Mn", "Mn", "Mn", "Mn", "Mn", "Mn", "Mg"], "fractional_positions": [[0.1475, 0.0814, 0.6587], [0.6200, 0.2637, 0.4673], [0.7063, 0.4438, 0.7344], [0.2927, 0.5414, 0.2584], [0.5194, 0.7790, 0.8702], [0.3608, 0.7373, 0.5240], [0.7829, 0.7341, 0.0814], [0.2393, 0.2734, 0.9223], [0.4886, 0.1996, 0.1241], [0.8353, 0.9356, 0.3458], [0.4043, 0.3094, 0.4276], [0.5820, 0.7427, 0.9961], [0.4745, 0.4041, 0.2231], [0.5162, 0.5709, 0.7719], [0.2571, 0.6588, 0.1676], [0.1027, 0.2548, 0.6098], [0.7261, 0.1842, 0.1315], [0.2790, 0.1682, 0.7869], [0.3290, 0.0296, 0.1289], [0.2826, 0.8052, 0.8795], [0.9671, 0.8288, 0.0296], [0.0992, 0.4011, 0.2659], [0.0518, 0.1658, 0.9621], [0.5813, 0.7651, 0.5907], [0.6631, 0.9406, 0.8448], [0.8944, 0.5963, 0.7372], [0.6656, 0.0465, 0.4173], [0.4417, 0.2512, 0.9988], [0.7476, 0.8668, 0.2086], [0.2901, 0.9482, 0.5771], [0.8046, 0.5300, 0.0925], [0.1874, 0.5896, 0.5534], [0.7388, 0.2987, 0.8081], [0.8129, 0.3962, 0.4420], [0.0300, 0.0826, 0.3449], [0.6339, 0.2905, 0.6087], [0.9512, 0.9569, 0.6788], [0.2091, 0.4875, 0.9240], [0.3666, 0.6881, 0.3849], [0.8769, 0.7545, 0.3877], [0.1234, 0.3252, 0.4491], [0.1839, 0.5086, 0.7367], [0.8645, 0.6866, 0.5474], [0.7713, 0.2711, 0.9712], [0.8087, 0.4871, 0.2627], [0.2607, 0.7412, 0.0372], [0.9766, 0.8822, 0.8556], [0.0331, 0.1094, 0.1648], [0.6683, 0.0309, 0.6979]]}

{"formula": "GdNiO3", "functional": "PBE with a Hubbard U", "state": "relaxed", "delta_e_f_ev_per_atom": -2.450, "dft_energy_ev_per_atom": -8.47, "cell": [[-4.7370, -0.7438, -2.2743], [0.9645, -5.4797, -0.2167], [-3.1590, -0.8270, 6.8503]], "species": ["Ni", "Ni", "Ni", "Ni", "Gd", "Gd", "Gd", "Gd", "O", "O", "O", "O", "O", "O", "O", "O", "O", "O", "O", "O"], "fractional_positions": [[0.5000, 0.0000, 0.0000], [0.0000, 0.5000, 0.0000], [0.5000, 0.0000, 0.5000], [0.0000, 0.5000, 0.5000], [0.0169, 0.9333, 0.7500], [0.5169, 0.5667, 0.2500], [0.4831, 0.4333, 0.7500], [0.9831, 0.0667, 0.2500], [0.2005, 0.2000, 0.5494], [0.4046, 0.9740, 0.2500], [0.7995, 0.8000, 0.0494], [0.7995, 0.8000, 0.4506], [0.0954, 0.4740, 0.2500], [0.9046, 0.5260, 0.7500], [0.7005, 0.3000, 0.0494], [0.2995, 0.7000, 0.5494], [0.2995, 0.7000, 0.9506], [0.2005, 0.2000, 0.9506], [0.5954, 0.0260, 0.7500], [0.7005, 0.3000, 0.4506]]}